Tm5In4Pd2 | PBE-GGA | relaxed

Values from the calculation:
- energy (eV for the cell shown) = -102.59
- energy of formation from the pure elements (eV per atom) = -0.69
- ρ (Mg/m³) = 9.63

a b c (Å): 8.0637 18.0844 3.5860
angles (deg): 90.00 90.00 90.00
Closest atoms and distances in Å follow each position.
Space group Pbam (No. 55)
One atom of each set of equivalent atoms:
Tm 0.0000 0.0000 0.0000  8 In 3.18-3.30, 2 Tm 3.47
Tm 0.1119 0.4172 0.0000  2 Pd 2.82
Tm 0.2387 0.2196 0.0000  4 Pd 2.92-2.94
In 0.0830 0.8516 0.5000  1 Pd 2.93, 2 Tm 3.27
In 0.2131 0.5686 0.5000  1 Pd 3.00, 6 Tm 3.18-3.29, 1 In 3.31
Pd 0.0237 0.3032 0.5000  6 Tm 2.82-2.94, 2 In 2.93-3.00

TmInPd | PBE-GGA | relaxed

Values from the calculation:
- energy (eV for the cell shown) = -44.52
- energy of formation from the pure elements (eV per atom) = -0.81
- ρ (Mg/m³) = 10.00

a b c (Å): 7.7928 7.7928 3.6959
angles (deg): 90.00 90.00 120.00
Closest atoms and distances in Å follow each position.
Space group P-62m (No. 189)
One atom of each set of equivalent atoms:
Tm 0.0000 0.5947 0.0000  5 Pd 3.00-3.16, 6 In 3.17-3.34
In 0.0000 0.2644 0.5000  4 Pd 2.77-2.90
Pd 0.0000 0.0000 0.0000  6 In 2.77
Pd 0.3333 0.6667 0.5000  3 In 2.90, 6 Tm 3.00

TmInPd2 | PBE-GGA | relaxed

Values from the calculation:
- energy (eV for the cell shown) = -83.95
- energy of formation from the pure elements (eV per atom) = -0.85
- ρ (Mg/m³) = 10.76

a b c (Å): 6.7427 6.7427 6.7427
angles (deg): 90.00 90.00 90.00
Closest atoms and distances in Å follow each position.
Space group Fm-3m (No. 225)
One atom of each set of equivalent atoms:
Tm 0.0000 0.0000 0.0000  8 Pd 2.92
In 0.0000 0.0000 0.5000  8 Pd 2.92
Pd 0.2500 0.2500 0.2500  4 In 2.92, 4 Tm 2.92

UInPd | PBE-GGA | relaxed

Values from the calculation:
- energy (eV for the cell shown) = -59.61
- energy of formation from the pure elements (eV per atom) = -0.22
- ρ (Mg/m³) = 11.43

a b c (Å): 7.4887 7.4887 4.1203
angles (deg): 90.00 90.00 120.00
Closest atoms and distances in Å follow each position.
Space group P-62m (No. 189)
One atom of each set of equivalent atoms:
U 0.0000 0.5802 0.0000  5 Pd 3.05-3.14, 2 In 3.23
In 0.0000 0.2486 0.5000  4 Pd 2.78-2.87
Pd 0.0000 0.0000 0.0000  6 In 2.78
Pd 0.3333 0.6667 0.5000  3 In 2.87, 6 U 3.05

Y2InPd2 | PBE-GGA | relaxed

Values from the calculation:
- energy (eV for the cell shown) = -60.75
- energy of formation from the pure elements (eV per atom) = -0.87
- ρ (Mg/m³) = 7.45

a b c (Å): 7.7876 7.7876 3.7142
angles (deg): 90.00 90.00 90.00
Closest atoms and distances in Å follow each position.
Space group P4/mbm (No. 127)
One atom of each set of equivalent atoms:
Y 0.1728 0.3272 0.0000  6 Pd 2.89-3.00
In 0.0000 0.0000 0.5000  4 Pd 3.07, 8 Y 3.43
Pd 0.1265 0.6265 0.5000  1 Pd 2.79, 6 Y 2.89-3.00, 2 In 3.07

ZnInPd2 | PBE-GGA | relaxed

Values from the calculation:
- energy (eV for the cell shown) = -65.72
- energy of formation from the pure elements (eV per atom) = -0.52
- ρ (Mg/m³) = 9.98

a b c (Å): 6.3948 6.3948 6.3948
angles (deg): 90.00 90.00 90.00
Closest atoms and distances in Å follow each position.
Space group Fm-3m (No. 225)
One atom of each set of equivalent atoms:
Zn 0.0000 0.0000 0.0000  8 Pd 2.77
In 0.0000 0.0000 0.5000  8 Pd 2.77
Pd 0.2500 0.2500 0.2500  4 In 2.77, 4 Zn 2.77

ZrInPd2 | PBE-GGA | relaxed

Values from the calculation:
- energy (eV for the cell shown) = -24.09
- energy of formation from the pure elements (eV per atom) = -0.61
- ρ (Mg/m³) = 9.21

a b c (Å): 3.4144 3.4144 6.4787
angles (deg): 90.00 90.00 90.00
Closest atoms and distances in Å follow each position.
Space group P4/mmm (No. 123)
One atom of each set of equivalent atoms:
Zr 0.0000 0.0000 0.0000  8 Pd 2.85
In 0.0000 0.0000 0.5000  8 Pd 2.97, 2 Zr 3.24
Pd 0.5000 0.5000 0.2343  4 Zr 2.85, 4 In 2.97, 1 Pd 3.04

Zr2InPd2 | PBE-GGA | relaxed

Values from the calculation:
- energy (eV for the cell shown) = -130.15
- energy of formation from the pure elements (eV per atom) = -0.47
- ρ (Mg/m³) = 7.27

a b c (Å): 8.0194 8.0194 7.2507
angles (deg): 90.00 90.00 90.00
Closest atoms and distances in Å follow each position.
Space group P4_2/mnm (No. 136)
One atom of each set of equivalent atoms:
Zr 0.1574 0.1574 0.0000  6 Pd 2.91-3.07
Zr 0.1855 0.1855 0.5000  6 Pd 2.93-3.02
In 0.0000 0.5000 0.2500  4 Pd 3.16, 8 Zr 3.44-3.53
Pd 0.1280 0.8720 0.2795  2 Pd 2.90-3.20, 6 Zr 2.91-3.07, 2 In 3.16

PmInRh2 | PBE-GGA | relaxed

Values from the calculation:
- energy (eV for the cell shown) = -99.07
- energy of formation from the pure elements (eV per atom) = -0.63
- ρ (Mg/m³) = 10.00

a b c (Å): 6.7627 6.7627 6.7627
angles (deg): 90.00 90.00 90.00
Closest atoms and distances in Å follow each position.
Space group Fm-3m (No. 225)
One atom of each set of equivalent atoms:
Pm 0.0000 0.0000 0.0000  8 Rh 2.93
In 0.0000 0.0000 0.5000  8 Rh 2.93
Rh 0.2500 0.2500 0.2500  4 In 2.93, 4 Pm 2.93

PmSmIn2 | PBE-GGA | relaxed

Values from the calculation:
- energy (eV for the cell shown) = -67.71
- energy of formation from the pure elements (eV per atom) = -0.49
- ρ (Mg/m³) = 7.62

a b c (Å): 7.7075 7.7075 7.7075
angles (deg): 90.00 90.00 90.00
Closest atoms and distances in Å follow each position.
Space group Fm-3m (No. 225)
One atom of each set of equivalent atoms:
Pm 0.0000 0.0000 0.0000  8 In 3.34
Sm 0.0000 0.0000 0.5000  8 In 3.34
In 0.2500 0.2500 0.2500  4 Pm 3.34, 4 Sm 3.34

Pm2InSn | PBE-GGA | relaxed

Values from the calculation:
- energy (eV for the cell shown) = -73.78
- energy of formation from the pure elements (eV per atom) = -0.55
- ρ (Mg/m³) = 7.56

a b c (Å): 7.7185 7.7185 7.7185
angles (deg): 90.00 90.00 90.00
Closest atoms and distances in Å follow each position.
Space group Fm-3m (No. 225)
One atom of each set of equivalent atoms:
Pm 0.2500 0.2500 0.2500  4 In 3.34, 4 Sn 3.34
In 0.0000 0.0000 0.0000  8 Pm 3.34
Sn 0.0000 0.0000 0.5000  8 Pm 3.34

PmYIn2 | PBE-GGA | relaxed

Values from the calculation:
- energy (eV for the cell shown) = -74.75
- energy of formation from the pure elements (eV per atom) = -0.49
- ρ (Mg/m³) = 6.92

a b c (Å): 7.6347 7.6347 7.6347
angles (deg): 90.00 90.00 90.00
Closest atoms and distances in Å follow each position.
Space group Fm-3m (No. 225)
One atom of each set of equivalent atoms:
Pm 0.0000 0.0000 0.0000  8 In 3.31
Y 0.0000 0.0000 0.5000  8 In 3.31
In 0.2500 0.2500 0.2500  4 Pm 3.31, 4 Y 3.31

Pm2ZnIn | PBE-GGA | relaxed

Values from the calculation:
- energy (eV for the cell shown) = -60.39
- energy of formation from the pure elements (eV per atom) = -0.40
- ρ (Mg/m³) = 7.23

a b c (Å): 7.5583 7.5583 7.5583
angles (deg): 90.00 90.00 90.00
Closest atoms and distances in Å follow each position.
Space group Fm-3m (No. 225)
One atom of each set of equivalent atoms:
Pm 0.2500 0.2500 0.2500  4 In 3.27, 4 Zn 3.27
Zn 0.0000 0.0000 0.0000  8 Pm 3.27
In 0.0000 0.0000 0.5000  8 Pm 3.27

PrIn3 | PBE-GGA | relaxed

Values from the calculation:
- energy (eV for the cell shown) = -14.90
- energy of formation from the pure elements (eV per atom) = -0.47
- ρ (Mg/m³) = 7.52

a b c (Å): 4.7496 4.7496 4.7496
angles (deg): 90.00 90.00 90.00
Closest atoms and distances in Å follow each position.
Space group Pm-3m (No. 221)
One atom of each set of equivalent atoms:
Pr 0.0000 0.0000 0.0000  12 In 3.36
In 0.0000 0.5000 0.5000  8 In 3.36, 4 Pr 3.36

Pr3In | PBE-GGA | relaxed

Values from the calculation:
- energy (eV for the cell shown) = -18.19
- energy of formation from the pure elements (eV per atom) = -0.27
- ρ (Mg/m³) = 7.01

a b c (Å): 5.0319 5.0319 5.0319
angles (deg): 90.00 90.00 90.00
Closest atoms and distances in Å follow each position.
Space group Pm-3m (No. 221)
One atom of each set of equivalent atoms:
Pr 0.0000 0.0000 0.5000  4 In 3.56, 8 Pr 3.56
In 0.5000 0.5000 0.5000  12 Pr 3.56

Pr3In | PBE-GGA | relaxed

Values from the calculation:
- energy (eV for the cell shown) = -36.26
- energy of formation from the pure elements (eV per atom) = -0.26
- ρ (Mg/m³) = 6.92

a b c (Å): 7.2531 7.2531 5.6611
angles (deg): 90.00 90.00 120.00
Closest atoms and distances in Å follow each position.
Space group P6_3/mmc (No. 194)
One atom of each set of equivalent atoms:
Pr 0.1760 0.3520 0.2500  8 Pr 3.42-3.83, 4 In 3.45-3.63
In 0.3333 0.6667 0.7500  12 Pr 3.45-3.63

PrIn | PBE-GGA | relaxed

Values from the calculation:
- energy (eV for the cell shown) = -8.51
- energy of formation from the pure elements (eV per atom) = -0.49
- ρ (Mg/m³) = 7.15

a b c (Å): 3.9016 3.9016 3.9016
angles (deg): 90.00 90.00 90.00
Closest atoms and distances in Å follow each position.
Space group Pm-3m (No. 221)
One atom of each set of equivalent atoms:
Pr 0.0000 0.0000 0.0000  8 In 3.38
In 0.5000 0.5000 0.5000  8 Pr 3.38

PrIn3Pt | PBE-GGA | relaxed

Values from the calculation:
- energy (eV for the cell shown) = -175.80
- energy of formation from the pure elements (eV per atom) = -0.57
- ρ (Mg/m³) = 8.80

a b c (Å): 10.0894 10.0894 10.0894
angles (deg): 90.00 90.00 90.00
Closest atoms and distances in Å follow each position.
Space group Pm-3n (No. 223)
One atom of each set of equivalent atoms:
Pr 0.0000 0.0000 0.0000  12 In 3.54
Pr 0.0000 0.2500 0.5000  12 In 3.49-3.57, 4 Pt 3.57
In 0.0000 0.3158 0.1520  2 Pt 2.79, 1 In 3.07
Pt 0.2500 0.2500 0.2500  6 In 2.79

PrIn2Pt2 | PBE-GGA | relaxed

Values from the calculation:
- energy (eV for the cell shown) = -105.21
- energy of formation from the pure elements (eV per atom) = -0.78
- ρ (Mg/m³) = 11.58

a b c (Å): 10.3730 4.5361 10.3932
angles (deg): 90.00 116.79 90.00
Closest atoms and distances in Å follow each position.
Space group P2_1/m (No. 11)
One atom of each set of equivalent atoms:
Pr 0.0478 0.2500 0.2898  7 Pt 3.04-3.24, 1 In 3.39
Pr 0.4013 0.2500 0.2100  5 Pt 2.94-3.28
In 0.1189 0.7500 0.0753  4 Pt 2.76-2.92
In 0.2265 0.7500 0.6037  6 Pt 2.78-2.96
In 0.3548 0.7500 0.9475  5 Pt 2.81-2.98
In 0.4057 0.2500 0.5409  4 Pt 2.80-2.82
Pt 0.0698 0.2500 0.5996  3 In 2.78-2.84, 4 Pt 2.88-3.02, 2 Pr 3.04
Pt 0.1572 0.2500 0.9186  5 In 2.89-2.98, 3 Pr 2.94-3.19, 2 Pt 3.02-3.04
Pt 0.2946 0.7500 0.3683  5 In 2.76-2.84
Pt 0.3738 0.2500 0.7967  6 In 2.81-2.96, 2 Pt 2.88-3.04

Pr5In4Pt2 | PBE-GGA | relaxed

Values from the calculation:
- energy (eV for the cell shown) = -110.45
- energy of formation from the pure elements (eV per atom) = -0.74
- ρ (Mg/m³) = 8.44

a b c (Å): 8.4204 18.9245 3.8373
angles (deg): 90.00 90.00 90.00
Closest atoms and distances in Å follow each position.
Space group Pbam (No. 55)
One atom of each set of equivalent atoms:
Pr 0.0000 0.0000 0.0000  8 In 3.38-3.51, 2 Pr 3.63
Pr 0.1162 0.4129 0.0000  2 Pt 2.95
Pr 0.2453 0.2194 0.0000  4 Pt 3.04-3.11
In 0.0737 0.8483 0.5000  1 Pt 2.96
In 0.2071 0.5680 0.5000  1 Pt 3.12, 6 Pr 3.35-3.47, 1 In 3.47
Pt 0.0217 0.3024 0.5000  6 Pr 2.95-3.11, 2 In 2.96-3.12

PrInPt4 | PBE-GGA | relaxed

Values from the calculation:
- energy (eV for the cell shown) = -146.03
- energy of formation from the pure elements (eV per atom) = -0.78
- ρ (Mg/m³) = 14.86

a b c (Å): 7.7369 7.7369 7.7369
angles (deg): 90.00 90.00 90.00
Closest atoms and distances in Å follow each position.
Space group F-43m (No. 216)
One atom of each set of equivalent atoms:
Pr 0.0000 0.0000 0.0000  12 Pt 3.21, 4 In 3.35
In 0.2500 0.2500 0.7500  12 Pt 3.21, 4 Pr 3.35
Pt 0.1244 0.1244 0.3756  6 Pt 2.72-2.75

PrInRh | PBE-GGA | relaxed

Values from the calculation:
- energy (eV for the cell shown) = -50.81
- energy of formation from the pure elements (eV per atom) = -0.68
- ρ (Mg/m³) = 8.57

a b c (Å): 7.6620 7.6620 4.1013
angles (deg): 90.00 90.00 120.00
Closest atoms and distances in Å follow each position.
Space group P-62m (No. 189)
One atom of each set of equivalent atoms:
Pr 0.0000 0.5888 0.0000  5 Rh 3.09-3.15, 6 In 3.31-3.43
In 0.0000 0.2494 0.5000  4 Rh 2.80-2.93
Rh 0.0000 0.0000 0.0000  6 In 2.80
Rh 0.3333 0.6667 0.5000  3 In 2.93, 6 Pr 3.09